one.
A plane-wave DFT calculation with PBE+U was carried out for crystalline BaNaNdMnO6 at its relaxed geometry.

Lattice parameters (Å, degrees): 8.462 8.483 8.441 90.00 90.00 90.00
Atoms (fractional coordinates):
Na1 0.500 0.000 0.000
Na2 0.000 0.500 0.500
Na3 0.500 0.500 0.000
Na4 0.000 0.000 0.500
O1 0.976 0.765 0.742
O2 0.235 0.524 0.265
O3 0.735 0.024 0.235
O4 0.524 0.735 0.758
O5 0.765 0.476 0.265
O6 0.770 0.738 0.976
O7 0.024 0.235 0.742
O8 0.730 0.762 0.524
O9 0.270 0.238 0.524
O10 0.265 0.024 0.765
O11 0.476 0.735 0.242
O12 0.765 0.524 0.735
O13 0.976 0.235 0.258
O14 0.230 0.262 0.976
O15 0.770 0.262 0.024
O16 0.735 0.976 0.765
O17 0.524 0.265 0.242
O18 0.024 0.765 0.258
O19 0.265 0.976 0.235
O20 0.730 0.238 0.476
O21 0.230 0.738 0.024
O22 0.476 0.265 0.758
O23 0.235 0.476 0.735
O24 0.270 0.762 0.476
Mn1 0.750 0.250 0.250
Mn2 0.750 0.750 0.750
Mn3 0.250 0.250 0.750
Mn4 0.250 0.750 0.250
Ba1 0.000 0.000 0.000
Ba2 0.000 0.500 0.000
Ba3 0.500 0.500 0.500
Ba4 0.500 0.000 0.500
Nd1 0.250 0.750 0.750
Nd2 0.250 0.250 0.250
Nd3 0.750 0.750 0.250
Nd4 0.750 0.250 0.750

Values from the calculation:
Magnetization, μB per atom: 0.100
Space-group type: Pnnn

=====

two.
A plane-wave DFT calculation with PBE+U was carried out for crystalline BaNaNdMnO6 at its relaxed geometry.

Lattice parameters (Å, degrees): 5.984 5.984 5.984 60.00 60.00 60.00
Atoms (fractional coordinates):
Nd1 0.500 0.500 0.500
O1 0.774 0.226 0.774
O2 0.226 0.774 0.774
O3 0.774 0.774 0.226
O4 0.774 0.226 0.226
O5 0.226 0.774 0.226
O6 0.226 0.226 0.774
Na1 0.250 0.250 0.250
Ba1 0.750 0.750 0.750
Mn1 0.000 0.000 0.000

Values from the calculation:
Magnetization, μB per atom: 0.100
Space-group type: F-43m

=====

Stability, lowest: one

=====

one.
A plane-wave DFT calculation with PBE+U was carried out for crystalline BaMn2O8 at its relaxed geometry.

Lattice parameters (Å, degrees): 9.713 8.444 7.145 76.57 57.74 45.69
Atoms (fractional coordinates):
O1 0.911 0.256 0.643
O2 0.256 0.911 0.190
O3 0.190 0.643 0.256
O4 0.772 0.679 0.484
O5 0.065 0.484 0.679
O6 0.571 0.478 0.185
O7 0.060 0.607 0.994
O8 0.994 0.339 0.060
O9 0.478 0.571 0.766
O10 0.643 0.190 0.911
O11 0.185 0.766 0.571
O12 0.766 0.185 0.478
O13 0.607 0.060 0.339
O14 0.339 0.994 0.607
O15 0.484 0.065 0.772
O16 0.679 0.772 0.065
Ba1 0.250 0.250 0.250
Ba2 0.000 0.000 0.000
Mn1 0.948 0.552 0.948
Mn2 0.698 0.302 0.698
Mn3 0.302 0.698 0.302
Mn4 0.552 0.948 0.552

Values from the calculation:
Magnetization, μB per atom: 0.000
Space-group type: Fddd

=====

two.
A plane-wave DFT calculation with PBE+U was carried out for crystalline BaMn2O8 at its relaxed geometry.

Lattice parameters (Å, degrees): 9.477 9.477 7.764 100.34 100.34 134.90
Atoms (fractional coordinates):
Mn1 0.800 0.200 0.000
Mn2 0.550 0.450 0.500
Mn3 0.200 0.800 0.000
Mn4 0.950 0.050 0.500
O1 0.031 0.321 0.994
O2 0.649 0.154 0.806
O3 0.846 0.351 0.194
O4 0.904 0.899 0.306
O5 0.679 0.969 0.006
O6 0.787 0.576 0.506
O7 0.719 0.929 0.506
O8 0.402 0.408 0.306
O9 0.326 0.037 0.006
O10 0.963 0.674 0.994
O11 0.424 0.213 0.494
O12 0.592 0.598 0.694
O13 0.158 0.652 0.806
O14 0.101 0.096 0.694
O15 0.071 0.281 0.494
O16 0.348 0.842 0.194
Ba1 0.000 0.000 0.000
Ba2 0.750 0.250 0.500

Values from the calculation:
Magnetization, μB per atom: 0.000
Space-group type: Fddd

=====

Stability, lowest: two

=====

one.
A plane-wave DFT calculation with PBE+U was carried out for crystalline BaMn2O8 at its relaxed geometry.

Lattice parameters (Å, degrees): 10.884 8.456 7.915 83.27 50.49 46.24
Atoms (fractional coordinates):
O1 0.896 0.077 0.433
O2 0.354 0.173 0.817
O3 0.433 0.593 0.896
O4 0.817 0.657 0.354
O5 0.297 0.932 0.205
O6 0.932 0.297 0.566
O7 0.318 0.953 0.684
O8 0.173 0.354 0.657
O9 0.953 0.318 0.045
O10 0.593 0.433 0.077
O11 0.657 0.817 0.173
O12 0.077 0.896 0.593
O13 0.045 0.684 0.953
O14 0.684 0.045 0.318
O15 0.566 0.205 0.932
O16 0.205 0.566 0.297
Mn1 0.247 0.753 0.247
Mn2 0.497 0.003 0.497
Mn3 0.003 0.497 0.003
Mn4 0.753 0.247 0.753
Ba1 0.750 0.750 0.750
Ba2 0.500 0.500 0.500

Values from the calculation:
Magnetization, μB per atom: 0.206
Space-group type: Fddd

=====

two.
A plane-wave DFT calculation with PBE+U was carried out for crystalline BaMn2O8 at its relaxed geometry.

Lattice parameters (Å, degrees): 9.915 9.085 7.231 73.86 61.67 44.48
Atoms (fractional coordinates):
Ba1 0.750 0.750 0.750
Ba2 0.500 0.500 0.500
O1 0.448 0.716 0.088
O2 0.088 0.748 0.448
O3 0.939 0.130 0.335
O4 0.502 0.162 0.534
O5 0.534 0.802 0.502
O6 0.915 0.654 0.311
O7 0.311 0.120 0.915
O8 0.120 0.311 0.654
O9 0.162 0.502 0.802
O10 0.654 0.915 0.120
O11 0.335 0.596 0.939
O12 0.748 0.088 0.716
O13 0.130 0.939 0.596
O14 0.802 0.534 0.162
O15 0.596 0.335 0.130
O16 0.716 0.448 0.748
Mn1 0.272 0.272 0.728
Mn2 0.728 0.728 0.272
Mn3 0.522 0.522 0.978
Mn4 0.978 0.978 0.522

Values from the calculation:
Magnetization, μB per atom: 0.000
Space-group type: Fddd

=====

Stability, lowest: one

=====

one.
A plane-wave DFT calculation with PBE+U was carried out for crystalline BaMn4O8 at its relaxed geometry.

Lattice parameters (Å, degrees): 7.055 7.055 9.670 47.49 47.49 25.90
Atoms (fractional coordinates):
Mn1 0.163 0.163 0.184
Mn2 0.649 0.649 0.517
Mn3 0.837 0.837 0.816
Mn4 0.351 0.351 0.483
O1 0.198 0.198 0.949
O2 0.157 0.157 0.385
O3 0.843 0.843 0.615
O4 0.542 0.542 0.278
O5 0.154 0.154 0.655
O6 0.846 0.846 0.345
O7 0.458 0.458 0.722
O8 0.802 0.802 0.051
Ba1 0.500 0.500 0.000

Values from the calculation:
Magnetization, μB per atom: 1.077
Space-group type: C2/m

=====

two.
A plane-wave DFT calculation with PBE+U was carried out for crystalline BaMn4O8 at its relaxed geometry.

Lattice parameters (Å, degrees): 5.646 5.646 7.773 90.00 90.00 120.00
Atoms (fractional coordinates):
O1 0.000 0.360 0.285
O2 0.640 0.000 0.715
O3 0.360 0.000 0.285
O4 0.000 0.640 0.715
O5 0.333 0.667 0.000
O6 0.360 0.360 0.715
O7 0.667 0.333 0.000
O8 0.640 0.640 0.285
Ba1 0.000 0.000 0.000
Mn1 0.333 0.667 0.758
Mn2 0.667 0.333 0.242
Mn3 0.333 0.667 0.242
Mn4 0.667 0.333 0.758

Values from the calculation:
Magnetization, μB per atom: 1.077
Space-group type: P-31m

=====

Stability, lowest: two

=====

one.
A plane-wave DFT calculation with PBE+U was carried out for crystalline BaMn4O8 at its relaxed geometry.

Lattice parameters (Å, degrees): 7.094 7.094 7.094 92.85 92.85 154.23
Atoms (fractional coordinates):
Mn1 0.164 0.349 0.514
Mn2 0.349 0.836 0.185
Mn3 0.836 0.651 0.486
Mn4 0.651 0.164 0.815
O1 0.849 0.194 0.043
O2 0.830 0.458 0.287
O3 0.542 0.830 0.372
O4 0.170 0.542 0.713
O5 0.806 0.849 0.655
O6 0.194 0.151 0.345
O7 0.458 0.170 0.628
O8 0.151 0.806 0.957
Ba1 0.500 0.500 0.000

Values from the calculation:
Magnetization, μB per atom: 1.079
Space-group type: I4/m

=====

two.
A plane-wave DFT calculation with PBE+U was carried out for crystalline BaMn4O8 at its relaxed geometry.

Lattice parameters (Å, degrees): 5.953 12.963 12.973 89.20 83.17 83.50
Atoms (fractional coordinates):
Mn1 0.502 0.365 0.622
Mn2 0.925 0.284 0.019
Mn3 0.816 0.378 0.365
Mn4 0.357 0.784 0.788
Mn5 0.142 0.219 0.212
Mn6 0.252 0.212 0.781
Mn7 0.999 0.630 0.373
Mn8 0.425 0.281 0.022
Mn9 0.643 0.216 0.212
Mn10 0.075 0.716 0.981
Mn11 0.748 0.788 0.219
Mn12 0.498 0.635 0.378
Mn13 0.184 0.622 0.635
Mn14 0.750 0.212 0.785
Mn15 0.001 0.370 0.627
Mn16 0.564 0.019 0.716
Mn17 0.858 0.781 0.788
Mn18 0.933 0.977 0.281
Mn19 0.313 0.373 0.369
Mn20 0.067 0.023 0.719
Mn21 0.250 0.788 0.215
Mn22 0.436 0.981 0.284
Mn23 0.687 0.627 0.631
Mn24 0.575 0.719 0.978
O1 0.865 0.313 0.174
O2 0.725 0.351 0.728
O3 0.473 0.237 0.880
O4 0.275 0.649 0.272
O5 0.392 0.312 0.175
O6 0.718 0.940 0.182
O7 0.458 0.528 0.648
O8 0.850 0.995 0.628
O9 0.811 0.818 0.940
O10 0.527 0.763 0.120
O11 0.021 0.174 0.688
O12 0.189 0.182 0.060
O13 0.542 0.472 0.352
O14 0.308 0.819 0.941
O15 0.218 0.649 0.472
O16 0.096 0.880 0.763
O17 0.347 0.627 0.005
O18 0.418 0.120 0.233
O19 0.233 0.351 0.727
O20 0.969 0.233 0.880
O21 0.692 0.181 0.059
O22 0.911 0.728 0.649
O23 0.904 0.120 0.237
O24 0.767 0.649 0.273
O25 0.031 0.767 0.120
O26 0.979 0.826 0.312
O27 0.597 0.272 0.351
O28 0.660 0.999 0.373
O29 0.340 0.001 0.627
O30 0.403 0.728 0.649
O31 0.653 0.373 0.995
O32 0.782 0.351 0.528
O33 0.221 0.942 0.180
O34 0.608 0.688 0.825
O35 0.135 0.687 0.826
O36 0.150 0.005 0.372
O37 0.089 0.272 0.351
O38 0.582 0.880 0.767
O39 0.838 0.628 0.000
O40 0.724 0.643 0.470
O41 0.276 0.357 0.530
O42 0.162 0.372 0.000
O43 0.452 0.826 0.313
O44 0.953 0.530 0.644
O45 0.282 0.060 0.818
O46 0.548 0.174 0.687
O47 0.047 0.470 0.356
O48 0.779 0.058 0.820
Ba1 0.830 0.145 0.484
Ba2 0.500 0.000 0.000
Ba3 0.000 0.000 0.000
Ba4 0.170 0.855 0.516
Ba5 0.596 0.516 0.145
Ba6 0.404 0.484 0.855

Values from the calculation:
Magnetization, μB per atom: 1.077
Space-group type: P-1

=====

Stability, lowest: one

=====

one.
A plane-wave DFT calculation with PBE+U was carried out for crystalline BaMnP2O7 at its relaxed geometry.

Lattice parameters (Å, degrees): 5.645 8.697 13.152 90.00 90.38 90.00
Atoms (fractional coordinates):
P1 0.189 0.805 0.481
P2 0.252 0.549 0.336
P3 0.752 0.951 0.836
P4 0.248 0.049 0.164
P5 0.811 0.195 0.519
P6 0.748 0.451 0.664
P7 0.311 0.305 0.019
P8 0.689 0.695 0.981
O1 0.080 0.169 0.520
O2 0.183 0.408 0.097
O3 0.196 0.316 0.913
O4 0.500 0.423 0.705
O5 0.438 0.125 0.233
O6 0.692 0.121 0.851
O7 0.062 0.625 0.267
O8 0.920 0.831 0.480
O9 0.192 0.379 0.351
O10 0.304 0.816 0.587
O11 0.817 0.592 0.903
O12 0.500 0.577 0.295
O13 0.308 0.879 0.149
O14 0.000 0.077 0.205
O15 0.808 0.621 0.649
O16 0.236 0.627 0.448
O17 0.683 0.092 0.597
O18 0.938 0.375 0.733
O19 0.420 0.669 0.980
O20 0.264 0.127 0.052
O21 0.736 0.873 0.948
O22 0.696 0.184 0.413
O23 0.317 0.908 0.403
O24 0.562 0.875 0.767
O25 0.764 0.373 0.552
O26 0.804 0.684 0.087
O27 0.580 0.331 0.020
O28 0.000 0.923 0.795
Mn1 0.183 0.659 0.107
Mn2 0.317 0.159 0.393
Mn3 0.683 0.841 0.607
Mn4 0.817 0.341 0.893
Ba1 0.282 0.145 0.719
Ba2 0.782 0.355 0.219
Ba3 0.218 0.645 0.781
Ba4 0.718 0.855 0.281

Values from the calculation:
Magnetization, μB per atom: 0.455
Space-group type: P2_1/c

=====

two.
A plane-wave DFT calculation with PBE+U was carried out for crystalline BaMnP2O7 at its relaxed geometry.

Lattice parameters (Å, degrees): 5.573 7.261 7.688 101.58 90.11 93.87
Atoms (fractional coordinates):
Mn1 0.799 0.368 0.605
Mn2 0.201 0.632 0.395
Ba1 0.776 0.228 0.067
Ba2 0.224 0.772 0.933
O1 0.732 0.871 0.396
O2 0.724 0.851 0.063
O3 0.276 0.149 0.937
O4 0.268 0.129 0.604
O5 0.552 0.266 0.395
O6 0.109 0.332 0.401
O7 0.767 0.004 0.722
O8 0.448 0.734 0.605
O9 0.233 0.996 0.278
O10 0.475 0.608 0.195
O11 0.067 0.392 0.809
O12 0.525 0.392 0.805
O13 0.933 0.608 0.191
O14 0.891 0.668 0.599
P1 0.288 0.270 0.796
P2 0.707 0.821 0.594
P3 0.712 0.730 0.204
P4 0.293 0.179 0.406

Values from the calculation:
Magnetization, μB per atom: 0.455
Space-group type: P-1

=====

Stability, lowest: two